P) CoC4O4 PBE with a Hubbard U relaxed; crystal system = cubic; mass density = 1.48 g/cm3; M_tot = 1.00 μB/f.u.
1.0
5.7653 0.0000 0.0000
0.0000 5.7653 0.0000
0.0000 0.0000 5.7653
Co C O
1 4 4
direct
0.0000 0.0000 0.0000 Co
0.1813 0.1813 0.8187 C
0.1813 0.8187 0.1813 C
0.8187 0.1813 0.1813 C
0.8187 0.8187 0.8187 C
0.2972 0.2972 0.7028 O
0.2972 0.7028 0.2972 O
0.7028 0.2972 0.2972 O
0.7028 0.7028 0.7028 O

***

Q) CoC4O4 PBE with a Hubbard U relaxed; crystal system = monoclinic; mass density = 2.06 g/cm3; M_tot = 0.00 μB/f.u.
1.0
6.4840 0.0000 0.0000
0.0000 15.3505 0.0000
-0.1046 0.0000 11.0866
Co C O
8 32 32
direct
0.2437 0.1666 0.4479 Co
0.2437 0.3334 0.4479 Co
0.2478 0.6667 0.0832 Co
0.2478 0.8333 0.0832 Co
0.7522 0.1667 0.9168 Co
0.7522 0.3333 0.9168 Co
0.7563 0.6666 0.5521 Co
0.7563 0.8334 0.5521 Co
0.9996 0.1135 0.9261 C
0.9996 0.3865 0.9261 C
0.0004 0.6135 0.0739 C
0.0004 0.8865 0.0739 C
0.0212 0.2500 0.4310 C
0.1126 0.1042 0.5585 C
0.1126 0.3958 0.5585 C
0.1248 0.7500 0.1926 C
0.1696 0.1278 0.3013 C
0.1696 0.3722 0.3013 C
0.3227 0.6336 0.9346 C
0.3227 0.8664 0.9346 C
0.3656 0.2500 0.5586 C
0.3773 0.6028 0.1942 C
0.3773 0.8972 0.1942 C
0.4716 0.7500 0.0737 C
0.4934 0.1160 0.4426 C
0.4934 0.3840 0.4426 C
0.5066 0.6160 0.5574 C
0.5066 0.8840 0.5574 C
0.5284 0.2500 0.9263 C
0.6227 0.1028 0.8058 C
0.6227 0.3972 0.8058 C
0.6344 0.7500 0.4414 C
0.6773 0.1336 0.0654 C
0.6773 0.3664 0.0654 C
0.8304 0.6278 0.6987 C
0.8304 0.8722 0.6987 C
0.8752 0.2500 0.8074 C
0.8874 0.6042 0.4415 C
0.8874 0.8958 0.4415 C
0.9788 0.7500 0.5690 C
0.0239 0.7500 0.2807 O
0.0292 0.0611 0.6287 O
0.0292 0.4389 0.6287 O
0.1191 0.1012 0.2077 O
0.1191 0.3988 0.2077 O
0.1507 0.0735 0.9286 O
0.1507 0.4265 0.9286 O
0.1587 0.7500 0.5869 O
0.3475 0.2500 0.9385 O
0.3517 0.5787 0.5560 O
0.3517 0.9213 0.5560 O
0.3756 0.6126 0.8394 O
0.3756 0.8874 0.8394 O
0.4587 0.5590 0.2651 O
0.4587 0.9410 0.2651 O
0.4681 0.2500 0.6472 O
0.5319 0.7500 0.3528 O
0.5413 0.0590 0.7349 O
0.5413 0.4410 0.7349 O
0.6244 0.1126 0.1606 O
0.6244 0.3874 0.1606 O
0.6483 0.0787 0.4440 O
0.6483 0.4213 0.4440 O
0.6525 0.7500 0.0615 O
0.8413 0.2500 0.4131 O
0.8493 0.5735 0.0714 O
0.8493 0.9265 0.0714 O
0.8809 0.6012 0.7923 O
0.8809 0.8988 0.7923 O
0.9708 0.5611 0.3713 O
0.9708 0.9389 0.3713 O
0.9761 0.2500 0.7193 O

***

Quick ranking, most stable first: Q), P).

***

P) Li3CrPCO7 PBE with a Hubbard U relaxed; crystal system = monoclinic; mass density = 2.74 g/cm3; M_tot = 4.00 μB/f.u.
1.0
9.5121 0.0000 0.0000
0.0000 6.4761 0.0000
-4.4210 0.0000 8.9500
Li Cr P C O
12 4 4 4 28
direct
0.1100 0.2422 0.4412 Li
0.1100 0.2578 0.9412 Li
0.2948 0.0216 0.7634 Li
0.2948 0.4784 0.2634 Li
0.3561 0.7444 0.0661 Li
0.3561 0.7556 0.5661 Li
0.6439 0.2444 0.4339 Li
0.6439 0.2556 0.9339 Li
0.7052 0.5216 0.7366 Li
0.7052 0.9784 0.2366 Li
0.8900 0.7422 0.0588 Li
0.8900 0.7578 0.5588 Li
0.2590 0.5143 0.7535 Cr
0.2590 0.9857 0.2535 Cr
0.7410 0.0143 0.7465 Cr
0.7410 0.4857 0.2465 Cr
0.4113 0.2493 0.0673 P
0.4113 0.2507 0.5673 P
0.5887 0.7493 0.4327 P
0.5887 0.7507 0.9327 P
0.0383 0.7473 0.3722 C
0.0383 0.7527 0.8722 C
0.9617 0.2473 0.1278 C
0.9617 0.2527 0.6278 C
0.0625 0.7434 0.5085 O
0.0625 0.7566 0.0085 O
0.1062 0.2297 0.2370 O
0.1062 0.2703 0.7370 O
0.1520 0.7345 0.8350 O
0.1520 0.7655 0.3350 O
0.3130 0.0617 0.5697 O
0.3130 0.4383 0.0697 O
0.3152 0.0591 0.0774 O
0.3152 0.4409 0.5774 O
0.4207 0.7488 0.2995 O
0.4207 0.7512 0.7995 O
0.4260 0.2395 0.9188 O
0.4260 0.2605 0.4188 O
0.5740 0.7395 0.5812 O
0.5740 0.7605 0.0812 O
0.5793 0.2488 0.2005 O
0.5793 0.2512 0.7005 O
0.6848 0.5591 0.4226 O
0.6848 0.9409 0.9226 O
0.6870 0.5617 0.9303 O
0.6870 0.9383 0.4303 O
0.8480 0.2345 0.6650 O
0.8480 0.2655 0.1650 O
0.8938 0.7297 0.2630 O
0.8938 0.7703 0.7630 O
0.9375 0.2434 0.9915 O
0.9375 0.2566 0.4915 O

***

Q) Li3CrPCO7 PBE with a Hubbard U relaxed; crystal system = triclinic; mass density = 2.72 g/cm3; M_tot = 4.00 μB/f.u.
1.0
4.9782 0.0000 0.0000
-0.7034 8.6346 0.0000
-0.0450 -0.0414 12.9446
Li Cr P C O
12 4 4 4 28
direct
0.0000 0.0000 0.0000 Li
0.9996 0.0014 0.5110 Li
0.4573 0.2209 0.7629 Li
0.4573 0.4646 0.0002 Li
0.4616 0.2203 0.2591 Li
0.4779 0.8275 0.1128 Li
0.4840 0.8341 0.3990 Li
0.4869 0.8310 0.8941 Li
0.4912 0.8377 0.6222 Li
0.9657 0.3862 0.3743 Li
0.9732 0.3838 0.6494 Li
0.9905 0.3900 0.8658 Li
0.0212 0.7741 0.2581 Cr
0.0259 0.7741 0.7570 Cr
0.4332 0.4424 0.5077 Cr
0.9879 0.3595 0.1190 Cr
0.4984 0.5215 0.2583 P
0.5058 0.5185 0.7589 P
0.9468 0.6938 0.0068 P
0.9518 0.6982 0.5075 P
0.5200 0.1459 0.0132 C
0.5253 0.1407 0.5049 C
0.9345 0.0764 0.7576 C
0.9389 0.0757 0.2532 C
0.0420 0.5316 0.5074 O
0.0466 0.5287 0.0040 O
0.0610 0.7920 0.1008 O
0.0622 0.7942 0.9146 O
0.0663 0.7970 0.4145 O
0.0682 0.7974 0.6005 O
0.1872 0.0550 0.7589 O
0.1908 0.0559 0.2540 O
0.2682 0.1687 0.0138 O
0.2734 0.1636 0.5049 O
0.3831 0.4211 0.3508 O
0.3879 0.4262 0.1629 O
0.3913 0.4215 0.6636 O
0.3965 0.4211 0.8513 O
0.4113 0.6889 0.2593 O
0.4161 0.6862 0.7581 O
0.6005 0.0061 0.0077 O
0.6065 0.0018 0.5076 O
0.6360 0.6838 0.0063 O
0.6398 0.6903 0.5074 O
0.6997 0.2651 0.0157 O
0.7034 0.2611 0.5021 O
0.7587 0.9547 0.7560 O
0.7602 0.9588 0.2600 O
0.8106 0.5283 0.2611 O
0.8193 0.5283 0.7564 O
0.8508 0.2147 0.7582 O
0.8563 0.2166 0.2450 O

***

Quick ranking, most stable first: Q), P).